Below is a relaxed structure of CaFe4O8, with properties calculated at the PBE with a Hubbard U level.

Properties
The value obtained for the polymorph energy (0 for the lowest one) is 10 meV per atom.

Cell lengths 5.8135, 5.8135, 16.6424 Å; angles 90.00, 90.00, 120.00 degrees
Space group R-3m (No. 166, hexagonal axes)
Asymmetric unit:
1 Ca 0.0000 0.0000 0.0000 [3 per cell]
2 Fe 0.0000 0.0000 0.5000 [3 per cell]
3 Fe 0.0000 0.5000 0.5000 [9 per cell]
4 O 0.0000 0.0000 0.2273 [6 per cell]
5 O 0.0041 0.5021 0.7727 [18 per cell]


Below is a relaxed structure of Co2As2O7, with properties calculated at the PBE with a Hubbard U level.

Properties
The value obtained for the polymorph energy (0 for the lowest one) is 3 meV per atom.

Cell lengths 6.490, 6.837, 6.837 Å; angles 79.76, 70.89, 70.91 degrees
Space group P1 (No. 1)
Asymmetric unit:
1 Co 0.000 0.000 0.000 [1 per cell]
2 Co 0.003 0.624 0.377 [1 per cell]
3 Co 0.501 0.499 0.501 [1 per cell]
4 Co 0.504 0.124 0.875 [1 per cell]
5 As 0.058 0.502 0.885 [1 per cell]
6 As 0.482 0.606 0.985 [1 per cell]
7 As 0.520 0.016 0.394 [1 per cell]
8 As 0.946 0.120 0.494 [1 per cell]
9 O 0.012 0.679 0.057 [1 per cell]
10 O 0.138 0.582 0.623 [1 per cell]
11 O 0.147 0.240 0.962 [1 per cell]
12 O 0.227 0.116 0.488 [1 per cell]
13 O 0.377 0.541 0.243 [1 per cell]
14 O 0.388 0.863 0.914 [1 per cell]
15 O 0.432 0.456 0.832 [1 per cell]
16 O 0.576 0.166 0.543 [1 per cell]
17 O 0.619 0.758 0.461 [1 per cell]
18 O 0.623 0.080 0.135 [1 per cell]
19 O 0.776 0.500 0.906 [1 per cell]
20 O 0.860 0.382 0.417 [1 per cell]
21 O 0.862 0.042 0.757 [1 per cell]
22 O 0.998 0.944 0.319 [1 per cell]


Below is a relaxed structure of Li4Mn3Cr2Cu3O16, with properties calculated at the PBE with a Hubbard U level.

Properties
The calculation puts the total DFT energy (no corrections) at -6.23 eV per atom.

Cell lengths 10.216, 5.805, 9.437 Å; angles 90.00, 91.55, 90.00 degrees
Space group Cm (No. 8)
Asymmetric unit:
1 Li 0.000 0.000 0.000 [2 per cell]
2 Li 0.002 0.000 0.508 [2 per cell]
3 Li 0.166 0.500 0.906 [2 per cell]
4 Li 0.335 0.000 0.405 [2 per cell]
5 Mn 0.087 0.253 0.225 [4 per cell]
6 Mn 0.175 0.000 0.724 [2 per cell]
7 Cr 0.171 0.500 0.500 [2 per cell]
8 Cr 0.335 0.000 0.000 [2 per cell]
9 Cu 0.334 0.500 0.224 [2 per cell]
10 Cu 0.419 0.245 0.723 [4 per cell]
11 O 0.006 0.000 0.810 [2 per cell]
12 O 0.008 0.000 0.320 [2 per cell]
13 O 0.020 0.500 0.345 [2 per cell]
14 O 0.095 0.241 0.604 [4 per cell]
15 O 0.163 0.000 0.114 [2 per cell]
16 O 0.163 0.500 0.119 [2 per cell]
17 O 0.238 0.275 0.351 [4 per cell]
18 O 0.255 0.219 0.854 [4 per cell]
19 O 0.335 0.000 0.621 [2 per cell]
20 O 0.343 0.500 0.601 [2 per cell]
21 O 0.427 0.255 0.107 [4 per cell]
22 O 0.481 0.000 0.855 [2 per cell]


Below is a relaxed structure of Li3Mn4B4O12, with properties calculated at the PBE with a Hubbard U level.

Properties
The value obtained for the polymorph energy (0 for the lowest one) is 11 meV per atom.

Cell lengths 5.905, 8.285, 10.573 Å; angles 90.37, 90.66, 102.00 degrees
Space group P-1 (No. 2)
Asymmetric unit:
1 Li 0.038 0.226 0.420 [2 per cell]
2 Li 0.065 0.232 0.920 [2 per cell]
3 Li 0.458 0.277 0.329 [2 per cell]
4 Mn 0.173 0.919 0.341 [2 per cell]
5 Mn 0.194 0.934 0.837 [2 per cell]
6 Mn 0.329 0.580 0.404 [2 per cell]
7 Mn 0.338 0.586 0.910 [2 per cell]
8 B 0.155 0.393 0.159 [2 per cell]
9 B 0.163 0.413 0.664 [2 per cell]
10 B 0.323 0.089 0.092 [2 per cell]
11 B 0.336 0.094 0.582 [2 per cell]
12 O 0.014 0.684 0.411 [2 per cell]
13 O 0.043 0.690 0.910 [2 per cell]
14 O 0.141 0.985 0.154 [2 per cell]
15 O 0.157 0.399 0.793 [2 per cell]
16 O 0.158 0.985 0.644 [2 per cell]
17 O 0.175 0.375 0.288 [2 per cell]
18 O 0.314 0.123 0.454 [2 per cell]
19 O 0.317 0.115 0.966 [2 per cell]
20 O 0.338 0.477 0.088 [2 per cell]
21 O 0.344 0.519 0.602 [2 per cell]
22 O 0.472 0.823 0.351 [2 per cell]
23 O 0.490 0.822 0.834 [2 per cell]


Below is a relaxed structure of Li7Mn5O12, with properties calculated at the PBE with a Hubbard U level.

Properties
The value obtained for the polymorph energy (0 for the lowest one) is 51 meV per atom.

Cell lengths 12.570, 2.995, 12.110 Å; angles 90.00, 104.24, 90.00 degrees
Space group C2/m (No. 12)
Asymmetric unit:
1 Li 0.000 0.000 0.000 [2 per cell]
2 Li 0.001 0.000 0.762 [4 per cell]
3 Li 0.157 0.500 0.914 [4 per cell]
4 Li 0.166 0.500 0.420 [4 per cell]
5 Mn 0.000 0.000 0.500 [2 per cell]
6 Mn 0.162 0.500 0.159 [4 per cell]
7 Mn 0.165 0.500 0.672 [4 per cell]
8 O 0.007 0.500 0.624 [4 per cell]
9 O 0.013 0.500 0.130 [4 per cell]
10 O 0.159 0.000 0.543 [4 per cell]
11 O 0.168 0.000 0.058 [4 per cell]
12 O 0.173 0.000 0.792 [4 per cell]
13 O 0.176 0.000 0.278 [4 per cell]


Below is a relaxed structure of LiLa3Ti3CrO12, with properties calculated at the PBE with a Hubbard U level.

Properties
The calculation puts the total DFT energy (no corrections) at -8.40 eV per atom.

Cell lengths 5.523, 5.541, 7.837 Å; angles 90.09, 90.05, 90.34 degrees
Space group P1 (No. 1)
Asymmetric unit:
1 Li 0.000 0.000 0.000 [1 per cell]
2 La 0.464 0.562 0.995 [1 per cell]
3 La 0.474 0.501 0.489 [1 per cell]
4 La 0.963 0.002 0.488 [1 per cell]
5 Ti 0.472 0.034 0.754 [1 per cell]
6 Ti 0.971 0.526 0.232 [1 per cell]
7 Ti 0.971 0.528 0.748 [1 per cell]
8 Cr 0.469 0.032 0.236 [1 per cell]
9 O 0.038 0.554 0.490 [1 per cell]
10 O 0.181 0.814 0.192 [1 per cell]
11 O 0.189 0.813 0.788 [1 per cell]
12 O 0.258 0.325 0.214 [1 per cell]
13 O 0.259 0.319 0.768 [1 per cell]
14 O 0.394 0.031 0.491 [1 per cell]
15 O 0.556 0.027 0.988 [1 per cell]
16 O 0.685 0.745 0.274 [1 per cell]
17 O 0.688 0.750 0.706 [1 per cell]
18 O 0.744 0.259 0.690 [1 per cell]
19 O 0.747 0.260 0.290 [1 per cell]
20 O 0.902 0.504 0.990 [1 per cell]